(1)
This record from Materials Project describes a relaxed Na5Eu4Si4O16F crystal. The functional is PBE.

Computed properties:
The formation energy comes out at -3.018 eV per atom. Its total energy is -7.6502 eV per atom.

The structure in CIF format:
```
data_Na5Eu4Si4O16F
_cell_length_a 11.937
_cell_length_b 11.937
_cell_length_c 5.533
_cell_angle_alpha 90.00
_cell_angle_beta 90.00
_cell_angle_gamma 90.00
_symmetry_space_group_name_H-M 'I -4'
_symmetry_Int_Tables_number 82
loop_
_symmetry_equiv_pos_as_xyz
'x,y,z'
'y,-x,-z'
'-x,-y,z'
'-y,x,-z'
'x+1/2,y+1/2,z+1/2'
'y+1/2,-x+1/2,-z+1/2'
'-x+1/2,-y+1/2,z+1/2'
'-y+1/2,x+1/2,-z+1/2'
loop_
_atom_site_label
_atom_site_type_symbol
_atom_site_fract_x
_atom_site_fract_y
_atom_site_fract_z
Na1 Na 0.000 0.000 0.000
Na2 Na 0.090 0.394 0.508
Eu1 Eu 0.115 0.818 0.521
Si1 Si 0.103 0.248 0.010
O1 O 0.035 0.208 0.254
O2 O 0.048 0.190 0.770
O3 O 0.106 0.385 0.986
O4 O 0.203 0.767 0.943
F1 F 0.000 0.000 0.500
```

=====

(2)
This record from Materials Project describes a relaxed Eu4O3F7 crystal. The functional is PBE.

Computed properties:
The formation energy comes out at -3.484 eV per atom. Its total energy is -8.0536 eV per atom.

The structure in CIF format:
```
data_Eu4O3F7
_cell_length_a 5.544
_cell_length_b 5.725
_cell_length_c 5.881
_cell_angle_alpha 90.00
_cell_angle_beta 91.22
_cell_angle_gamma 90.00
_symmetry_space_group_name_H-M 'P 1 2 1'
_symmetry_Int_Tables_number 3
loop_
_symmetry_equiv_pos_as_xyz
'x,y,z'
'-x,y,-z'
loop_
_atom_site_label
_atom_site_type_symbol
_atom_site_fract_x
_atom_site_fract_y
_atom_site_fract_z
Eu1 Eu 0.224 0.000 0.253
Eu2 Eu 0.266 0.482 0.750
O1 O 0.000 0.234 0.500
O2 O 0.000 0.284 0.000
O3 O 0.500 0.256 0.500
F1 F 0.000 0.711 0.500
F2 F 0.178 0.878 0.855
F3 F 0.325 0.592 0.154
F4 F 0.500 0.191 0.000
F5 F 0.500 0.788 0.500
```

=====

(3)
This record from Materials Project describes a relaxed Eu5P3O12F crystal. The functional is PBE.

Computed properties:
The formation energy comes out at -3.349 eV per atom. Its total energy is -9.0688 eV per atom.

The structure in CIF format:
```
data_Eu5P3O12F
_cell_length_a 9.8531
_cell_length_b 9.8531
_cell_length_c 7.3170
_cell_angle_alpha 90.00
_cell_angle_beta 90.00
_cell_angle_gamma 120.00
_symmetry_space_group_name_H-M 'P 63/m'
_symmetry_Int_Tables_number 176
_symmetry_space_group_name_Hall '-P 6c'
loop_
_atom_site_label
_atom_site_type_symbol
_atom_site_fract_x
_atom_site_fract_y
_atom_site_fract_z
Eu1 Eu 0.0101 0.2519 0.2500
Eu2 Eu 0.3333 0.6667 0.0002
P1 P 0.0301 0.3984 0.7500
O1 O 0.0831 0.3439 0.5778
O2 O 0.1178 0.5818 0.7500
O3 O 0.1508 0.6711 0.2500
F1 F 0.0000 0.0000 0.2500
```

=====

(4)
This record from Materials Project describes a relaxed RbEu3F10 crystal. The functional is PBE.

Computed properties:
The formation energy comes out at -3.727 eV per atom. Its total energy is -7.0328 eV per atom.

The structure in CIF format:
```
data_RbEu3F10
_cell_length_a 12.022
_cell_length_b 12.022
_cell_length_c 12.022
_cell_angle_alpha 90.00
_cell_angle_beta 90.00
_cell_angle_gamma 90.00
_symmetry_space_group_name_H-M 'F m -3 m'
_symmetry_Int_Tables_number 225
_symmetry_space_group_name_Hall '-F 4 2 3'
loop_
_atom_site_label
_atom_site_type_symbol
_atom_site_fract_x
_atom_site_fract_y
_atom_site_fract_z
Rb1 Rb 0.250 0.250 0.250
Eu1 Eu 0.000 0.000 0.239
F1 F 0.000 0.165 0.335
F2 F 0.111 0.111 0.111
```

=====

(5)
This record from Materials Project describes a relaxed Rb3EuF6 crystal. The functional is PBE.

Computed properties:
The formation energy comes out at -3.258 eV per atom. Its total energy is -5.4496 eV per atom.

The structure in CIF format:
```
data_Rb3EuF6
_cell_length_a 9.815
_cell_length_b 9.815
_cell_length_c 9.815
_cell_angle_alpha 90.00
_cell_angle_beta 90.00
_cell_angle_gamma 90.00
_symmetry_space_group_name_H-M 'F m -3 m'
_symmetry_Int_Tables_number 225
_symmetry_space_group_name_Hall '-F 4 2 3'
loop_
_atom_site_label
_atom_site_type_symbol
_atom_site_fract_x
_atom_site_fract_y
_atom_site_fract_z
Rb1 Rb 0.000 0.000 0.000
Rb2 Rb 0.250 0.250 0.250
Eu1 Eu 0.000 0.000 0.500
F1 F 0.000 0.000 0.272
```

=====

(6)
This record from Materials Project describes a relaxed Rb3EuF6 crystal. The functional is PBE.

Computed properties:
The formation energy comes out at -3.233 eV per atom. Its total energy is -5.4246 eV per atom.

The structure in CIF format:
```
data_Rb3EuF6
_cell_length_a 7.176
_cell_length_b 7.176
_cell_length_c 9.845
_cell_angle_alpha 90.00
_cell_angle_beta 90.00
_cell_angle_gamma 90.00
_symmetry_space_group_name_H-M 'I 4/m m m'
_symmetry_Int_Tables_number 139
_symmetry_space_group_name_Hall '-I 4 2'
loop_
_atom_site_label
_atom_site_type_symbol
_atom_site_fract_x
_atom_site_fract_y
_atom_site_fract_z
Rb1 Rb 0.000 0.000 0.000
Rb2 Rb 0.000 0.500 0.250
Eu1 Eu 0.000 0.000 0.500
F1 F 0.000 0.000 0.266
F2 F 0.000 0.311 0.500
```

=====

(7)
This record from Materials Project describes a relaxed EuSnF7 crystal. The functional is PBE.

Computed properties:
The formation energy comes out at -3.276 eV per atom. Its total energy is -5.9905 eV per atom. The energy above the most stable polymorph in this dataset comes out at 0.03 eV/f.u.

The structure in CIF format:
```
data_EuSnF7
_cell_length_a 6.173
_cell_length_b 5.829
_cell_length_c 8.379
_cell_angle_alpha 90.00
_cell_angle_beta 102.67
_cell_angle_gamma 90.00
_symmetry_space_group_name_H-M 'P 1 21 1'
_symmetry_Int_Tables_number 4
loop_
_symmetry_equiv_pos_as_xyz
'x,y,z'
'-x,y+1/2,-z'
loop_
_atom_site_label
_atom_site_type_symbol
_atom_site_fract_x
_atom_site_fract_y
_atom_site_fract_z
Eu1 Eu 0.158 0.000 0.186
Sn1 Sn 0.313 0.012 0.725
F1 F 0.056 0.684 0.025
F2 F 0.070 0.783 0.713
F3 F 0.101 0.278 0.710
F4 F 0.263 0.003 0.482
F5 F 0.365 0.019 0.969
F6 F 0.444 0.278 0.257
F7 F 0.453 0.752 0.272
```

=====

(8)
This record from Materials Project describes a relaxed EuSnF7 crystal. The functional is PBE.

Computed properties:
The formation energy comes out at -3.279 eV per atom. Its total energy is -5.9941 eV per atom. The energy above the most stable polymorph in this dataset comes out at 0.00 eV/f.u.

The structure in CIF format:
```
data_EuSnF7
_cell_length_a 9.196
_cell_length_b 5.751
_cell_length_c 12.329
_cell_angle_alpha 90.00
_cell_angle_beta 117.86
_cell_angle_gamma 90.00
_symmetry_space_group_name_H-M 'P 1 21/c 1'
_symmetry_Int_Tables_number 14
loop_
_symmetry_equiv_pos_as_xyz
'x,y,z'
'-x,-y,-z'
'-x,y+1/2,-z+1/2'
'x,-y+1/2,z+1/2'
loop_
_atom_site_label
_atom_site_type_symbol
_atom_site_fract_x
_atom_site_fract_y
_atom_site_fract_z
Eu1 Eu 0.188 0.242 0.265
Sn1 Sn 0.274 0.744 0.043
F1 F 0.028 0.741 0.947
F2 F 0.031 0.585 0.733
F3 F 0.256 0.546 0.171
F4 F 0.270 0.020 0.141
F5 F 0.282 0.046 0.455
F6 F 0.290 0.550 0.419
F7 F 0.482 0.230 0.360
```

=====

(9)
This record from Materials Project describes a relaxed EuZrF6 crystal. The functional is PBE.

Computed properties:
The formation energy comes out at -4.079 eV per atom. Its total energy is -7.5191 eV per atom.

The structure in CIF format:
```
data_EuZrF6
_cell_length_a 7.682
_cell_length_b 11.100
_cell_length_c 5.388
_cell_angle_alpha 90.00
_cell_angle_beta 90.00
_cell_angle_gamma 90.00
_symmetry_space_group_name_H-M 'C m m e'
_symmetry_Int_Tables_number 67
_symmetry_space_group_name_Hall '-C 2a 2'
loop_
_atom_site_label
_atom_site_type_symbol
_atom_site_fract_x
_atom_site_fract_y
_atom_site_fract_z
Eu1 Eu 0.000 0.250 0.039
Zr1 Zr 0.250 0.000 0.500
F1 F 0.000 0.076 0.342
F2 F 0.188 0.128 0.761
```

=====

(10)
This record from Materials Project describes a relaxed Eu2FeH6 crystal. The functional is PBE.

Computed properties:
The formation energy comes out at -0.632 eV per atom. Its total energy is -5.9947 eV per atom.

The structure in CIF format:
```
data_Eu2FeH6
_cell_length_a 7.280
_cell_length_b 7.280
_cell_length_c 7.280
_cell_angle_alpha 90.00
_cell_angle_beta 90.00
_cell_angle_gamma 90.00
_symmetry_space_group_name_H-M 'F m -3 m'
_symmetry_Int_Tables_number 225
_symmetry_space_group_name_Hall '-F 4 2 3'
loop_
_atom_site_label
_atom_site_type_symbol
_atom_site_fract_x
_atom_site_fract_y
_atom_site_fract_z
Eu1 Eu 0.250 0.250 0.250
Fe1 Fe 0.000 0.000 0.000
H1 H 0.000 0.000 0.222
```

=====

(11)
This record from Materials Project describes a relaxed EuMg2Fe crystal. The functional is PBE.

Computed properties:
The formation energy comes out at 0.350 eV per atom. Its total energy is -5.1321 eV per atom.

The structure in CIF format:
```
data_EuMg2Fe
_cell_length_a 4.8418
_cell_length_b 4.8418
_cell_length_c 5.1378
_cell_angle_alpha 90.00
_cell_angle_beta 90.00
_cell_angle_gamma 120.00
_symmetry_space_group_name_H-M 'P -3 m 1'
_symmetry_Int_Tables_number 164
_symmetry_space_group_name_Hall '-P 3 2"'
loop_
_atom_site_label
_atom_site_type_symbol
_atom_site_fract_x
_atom_site_fract_y
_atom_site_fract_z
Eu1 Eu 0.0000 0.0000 0.0000
Mg1 Mg 0.3333 0.6667 0.5216
Fe1 Fe 0.0000 0.0000 0.5000
```

=====

(12)
This record from Materials Project describes a relaxed EuFe2P2 crystal. The functional is PBE.

Computed properties:
The formation energy comes out at -0.894 eV per atom. Its total energy is -8.4988 eV per atom.

The structure in CIF format:
```
data_EuFe2P2
_cell_length_a 3.806
_cell_length_b 3.806
_cell_length_c 10.739
_cell_angle_alpha 90.00
_cell_angle_beta 90.00
_cell_angle_gamma 90.00
_symmetry_space_group_name_H-M 'I 4/m m m'
_symmetry_Int_Tables_number 139
_symmetry_space_group_name_Hall '-I 4 2'
loop_
_atom_site_label
_atom_site_type_symbol
_atom_site_fract_x
_atom_site_fract_y
_atom_site_fract_z
Eu1 Eu 0.000 0.000 0.000
Fe1 Fe 0.000 0.500 0.250
P1 P 0.000 0.000 0.352
```